Arrangement a

! MgV6O5F19 (PBE+U, optimized geometry); values from VASP
! Symmetry   No. 1
! Magnetization   3.0 μB per formula unit
&SYSTEM
  ibrav = 0, nat = 31, ntyp = 4
/
ATOMIC_SPECIES
F 19.00 F.upf
V 50.94 V.upf
Mg 24.30 Mg.upf
O 16.00 O.upf
CELL_PARAMETERS angstrom
5.442 -0.100 -0.017
-0.094 5.336 -0.011
-2.716 0.008 15.406
ATOMIC_POSITIONS angstrom
F 1.248 1.179 4.658
F 2.620 2.708 8.535
F 2.685 2.335 12.153
F 4.239 3.677 0.408
F 2.649 4.806 3.237
V 0.185 2.362 15.316
F -1.185 3.864 10.406
F 2.651 4.731 13.744
F 4.111 4.068 5.363
Mg 1.324 1.317 7.924
F 1.407 3.831 5.356
F -0.154 0.553 1.636
V 2.638 2.690 10.442
V 2.752 -0.049 4.925
F 2.583 2.121 1.635
V -0.161 2.599 4.918
F 0.055 5.163 8.543
F 0.029 3.208 3.246
O 1.465 4.225 0.452
O -1.586 1.181 10.191
V -0.160 0.329 10.378
O 3.959 1.371 4.807
F 0.080 2.243 6.854
F -1.508 1.433 14.987
V 0.176 5.120 0.088
F 1.588 4.221 10.517
F 2.544 0.341 6.806
O 1.065 1.555 10.103
O 1.165 1.142 14.926
F -0.024 0.211 12.125
F -0.062 3.189 13.764

Arrangement b

! MgV6O5F19 (PBE+U, optimized geometry); values from VASP
! Symmetry   No. 1
! Magnetization   3.4 μB per formula unit
&SYSTEM
  ibrav = 0, nat = 31, ntyp = 4
/
ATOMIC_SPECIES
F 19.00 F.upf
O 16.00 O.upf
V 50.94 V.upf
Mg 24.30 Mg.upf
CELL_PARAMETERS angstrom
5.427 0.067 -0.028
0.062 5.183 -0.028
-2.734 -0.107 15.704
ATOMIC_POSITIONS angstrom
F 2.702 2.302 12.243
O 1.172 1.377 10.249
V 0.008 2.610 4.974
V -0.217 2.347 15.607
F 2.950 4.433 3.542
F 4.370 3.678 0.330
F -0.081 1.786 6.729
O -1.564 1.028 10.272
V 5.418 5.172 -0.055
Mg 0.554 5.097 6.951
F 2.942 4.692 13.948
O -1.558 1.446 15.310
F 0.168 3.367 3.395
F 1.050 0.953 15.195
F -0.060 0.349 12.370
F 4.455 4.312 5.725
F -0.086 0.568 1.651
V -0.107 -0.007 10.655
F 1.630 4.076 0.434
V 2.714 0.398 4.889
F 1.527 4.015 10.826
F 2.730 3.015 8.815
V 2.588 2.313 10.470
F 0.116 3.059 14.027
F 2.797 2.112 1.622
O 1.190 1.104 4.552
O 3.833 1.619 4.584
F 1.457 3.707 5.737
F -1.101 3.649 10.814
F 2.437 0.521 6.747
F 0.107 4.702 8.727

It turns out arrangement a is the most stable, with the second structure 0.018 eV/atom higher.

Arrangement a

! MgV6O5F19 (PBE+U, optimized geometry); values from VASP
! Symmetry   No. 1
! Magnetization   3.0 μB per formula unit
&SYSTEM
  ibrav = 0, nat = 31, ntyp = 4
/
ATOMIC_SPECIES
F 19.00 F.upf
O 16.00 O.upf
Mg 24.30 Mg.upf
V 50.94 V.upf
CELL_PARAMETERS angstrom
5.415 0.014 -0.022
0.015 5.289 0.019
-2.705 0.044 15.383
ATOMIC_POSITIONS angstrom
F -1.547 1.532 15.150
O 3.873 1.592 4.790
F 0.257 2.931 13.663
Mg 1.299 1.356 13.042
F 2.556 5.162 13.678
V 2.636 5.266 5.153
O 1.205 1.490 9.831
F 2.467 2.480 1.922
V -0.024 0.332 9.999
V 0.186 5.163 0.181
F 2.641 0.535 6.807
F 2.579 2.265 11.936
O 1.499 4.179 0.148
F 4.328 3.803 0.477
F 0.048 2.244 6.817
O 1.187 1.193 15.203
F -1.240 3.897 10.542
V 2.853 2.476 0.189
F 2.848 4.964 3.419
F 4.253 4.158 5.517
F 1.471 4.157 10.493
F 0.093 0.385 1.839
F 0.082 3.177 3.473
F 1.068 1.125 4.725
F 2.759 3.170 8.364
O -1.456 1.254 9.893
V -0.226 2.523 5.095
F 0.015 4.867 8.417
F 0.044 0.428 11.952
V 2.723 2.755 10.063
F 1.569 3.771 5.466

Arrangement b

! MgV6O5F19 (PBE+U, optimized geometry); values from VASP
! Symmetry   No. 1
! Magnetization   3.0 μB per formula unit
&SYSTEM
  ibrav = 0, nat = 31, ntyp = 4
/
ATOMIC_SPECIES
Mg 24.30 Mg.upf
F 19.00 F.upf
O 16.00 O.upf
V 50.94 V.upf
CELL_PARAMETERS angstrom
-3.980 2.379 2.826
-1.090 -4.689 2.318
11.988 2.004 9.656
ATOMIC_POSITIONS angstrom
Mg 6.358 -0.376 11.437
F -1.081 -0.538 3.699
O 5.246 1.205 8.351
O -1.723 -2.953 2.795
F -0.373 -0.638 7.909
F 1.523 -2.011 3.900
F 8.156 0.181 11.250
F 7.627 2.365 8.724
F 4.787 -0.851 10.218
O 7.368 0.396 6.875
F 4.454 -2.563 8.194
F 2.070 0.468 4.524
F -0.825 -2.431 6.025
V -2.535 -0.768 2.663
F 2.785 0.185 8.808
V -1.051 -4.410 2.519
F 5.417 1.364 10.972
F 1.087 0.089 1.599
F 2.340 2.195 6.550
V 2.953 -1.262 4.620
F 3.980 -0.589 5.902
V 6.457 1.784 7.339
F 1.693 -1.560 6.406
F -3.583 -1.387 4.279
O 8.735 2.729 12.118
V 3.937 0.974 9.851
F 10.626 1.268 10.676
F 6.850 -1.618 8.598
F 6.020 -0.292 13.323
V 0.336 -2.426 7.350
O -0.078 1.362 6.123

It turns out arrangement b is the most stable, with the second structure 0.009 eV/atom higher.

Arrangement a

! MgV8O8F8 (PBE+U, optimized geometry); values from VASP
! Symmetry   No. 1
! Magnetization   18.0 μB per formula unit
&SYSTEM
  ibrav = 0, nat = 25, ntyp = 4
/
ATOMIC_SPECIES
V 50.94 V.upf
F 19.00 F.upf
O 16.00 O.upf
Mg 24.30 Mg.upf
CELL_PARAMETERS angstrom
1.185 4.314 1.928
6.945 -4.781 6.240
4.384 0.347 -3.652
ATOMIC_POSITIONS angstrom
V 3.751 3.162 2.742
F 6.873 -0.424 6.538
V 5.653 1.023 0.002
F 8.363 1.060 2.322
O 6.507 -0.494 0.730
O 8.735 -0.679 4.382
V 0.217 0.062 -0.117
V 6.862 -1.178 4.585
F 7.723 -2.877 5.504
V 6.700 2.063 3.111
O 5.895 0.436 3.830
F 4.876 2.817 -1.165
V 9.680 -2.297 5.190
F 4.077 -1.185 2.259
O 2.856 3.418 0.893
Mg 3.544 -0.364 -1.495
F 6.936 -2.235 2.809
V 8.512 -0.063 0.558
O 5.440 0.271 -1.905
F 3.558 0.729 0.146
O 9.386 -1.603 1.270
O 5.430 2.301 1.570
V 8.586 -3.341 2.033
O 9.883 -3.570 3.476
F 3.183 1.271 3.314

Arrangement b

! MgV8O8F8 (PBE+U, optimized geometry); values from VASP
! Symmetry   No. 2
! Magnetization   18.0 μB per formula unit
&SYSTEM
  ibrav = 0, nat = 25, ntyp = 4
/
ATOMIC_SPECIES
F 19.00 F.upf
O 16.00 O.upf
V 50.94 V.upf
Mg 24.30 Mg.upf
CELL_PARAMETERS angstrom
3.741 3.013 -1.094
-6.189 5.017 -6.875
-2.348 3.500 3.909
ATOMIC_POSITIONS angstrom
F -2.420 4.993 2.453
O 0.549 3.777 -3.024
V -6.357 6.537 -2.333
O -1.203 3.439 0.332
V -1.224 4.015 -3.985
O -3.314 5.582 -0.470
O -6.628 8.007 -3.627
F -0.282 5.809 -1.110
V 0.000 0.000 0.000
F 0.306 5.293 1.548
V 0.696 3.257 1.407
F -5.101 6.237 -5.608
V -3.224 6.174 -4.500
F -2.357 8.057 -1.891
V -4.268 4.259 -1.483
O -5.345 7.753 -1.036
O -1.482 5.948 -3.590
F -2.439 3.473 -2.169
Mg 1.870 1.507 -0.547
O 1.832 3.524 -0.433
O -3.593 8.092 -4.392
F -2.376 6.537 -6.513
V -1.572 5.357 0.439
V 1.561 4.993 -1.727
F -4.513 5.721 -2.951

Arrangement c

! MgV8O8F8 (PBE+U, optimized geometry); values from VASP
! Symmetry   No. 1
! Magnetization   18.0 μB per formula unit
&SYSTEM
  ibrav = 0, nat = 25, ntyp = 4
/
ATOMIC_SPECIES
O 16.00 O.upf
F 19.00 F.upf
V 50.94 V.upf
Mg 24.30 Mg.upf
CELL_PARAMETERS angstrom
-4.917 0.129 0.018
-0.103 4.778 -9.345
0.146 -4.796 -3.128
ATOMIC_POSITIONS angstrom
O -1.399 -1.250 -6.414
F -4.059 3.795 -7.719
O -3.444 1.458 -6.182
V -0.004 0.035 -6.293
V -2.492 2.373 -10.867
O -1.441 -1.412 -9.446
O -3.421 1.580 -3.226
O -1.467 -1.325 -3.081
F -0.944 1.020 -4.683
O -3.947 -1.030 -1.768
V -4.800 0.297 -3.077
F -0.932 1.030 -7.861
V -2.350 -2.264 -7.822
V -0.077 0.031 -9.494
F -3.214 -3.391 -3.233
F -3.955 -0.793 -7.858
F -4.062 -0.932 -4.636
O -0.870 1.020 -11.026
O -3.420 1.485 -9.366
F -1.705 3.341 -9.263
V -2.299 -2.173 -4.861
V -4.937 4.577 -9.405
Mg 0.048 -2.489 -2.955
V -2.606 2.310 -7.672
F -0.632 -3.628 -4.605

It turns out arrangement a is the most stable, with the second structure 0.013 eV/atom higher.

Arrangement a

! MgV8O8F8 (PBE+U, optimized geometry); values from VASP
! Symmetry   No. 1
! Magnetization   18.0 μB per formula unit
&SYSTEM
  ibrav = 0, nat = 25, ntyp = 4
/
ATOMIC_SPECIES
V 50.94 V.upf
F 19.00 F.upf
O 16.00 O.upf
Mg 24.30 Mg.upf
CELL_PARAMETERS angstrom
4.735 -1.832 -0.221
-4.085 -9.893 1.371
-1.259 -1.308 -5.356
ATOMIC_POSITIONS angstrom
V 3.264 -4.601 -1.293
V 0.468 -4.745 -3.561
V 0.291 -11.780 -0.334
F 1.994 -4.812 0.256
O 2.600 -2.755 -1.667
F -0.677 -10.892 -4.298
F 0.551 -8.250 -3.392
F -0.958 -4.914 -0.626
O -3.701 -10.333 -2.067
F -0.252 -2.951 -2.726
V -2.084 -11.266 -1.412
V -2.576 -5.570 -1.923
O -0.481 -10.118 -1.499
Mg -0.098 -2.015 -4.543
O 1.939 -5.541 -2.431
O -1.182 -5.927 -3.303
F -2.350 -7.688 -1.500
O -2.505 -8.589 -4.191
V -0.714 -8.513 -0.260
F 1.717 -2.805 -4.293
V -0.975 -7.299 -4.643
O -0.025 -1.747 -0.259
F -2.318 -9.807 0.342
O 0.728 -7.353 -0.683
V -3.850 -8.457 -2.833

Arrangement b

! MgV8O8F8 (PBE+U, optimized geometry); values from VASP
! Symmetry   No. 1
! Magnetization   18.0 μB per formula unit
&SYSTEM
  ibrav = 0, nat = 25, ntyp = 4
/
ATOMIC_SPECIES
O 16.00 O.upf
F 19.00 F.upf
V 50.94 V.upf
Mg 24.30 Mg.upf
CELL_PARAMETERS angstrom
2.017 -4.526 -0.529
-3.548 -0.669 -9.786
4.435 2.575 -2.471
ATOMIC_POSITIONS angstrom
O 2.575 0.695 -9.259
F 3.036 -2.087 -8.031
O 2.125 0.152 -6.348
F -0.193 -0.529 -4.811
V -0.427 -2.201 -8.145
O 0.387 -3.118 -3.614
O 1.972 -0.469 -2.963
O 0.854 -2.238 -9.736
V 0.379 0.917 -6.236
V -1.484 -5.129 -10.326
V 2.258 -3.954 -3.581
V 3.088 -0.575 -4.750
V 3.616 -0.013 -7.651
F -0.033 -0.098 -7.995
F 3.873 1.583 -4.269
O 2.703 -2.999 -1.957
F -1.066 -4.125 -8.546
V 0.691 1.354 -9.320
F -1.687 -1.657 -9.896
F 4.674 -0.802 -3.162
V -0.087 -1.426 -11.236
F 2.921 -2.637 -5.002
O 0.612 -2.800 -6.648
O 0.295 0.447 -10.971
Mg 1.078 -2.000 -2.075

Arrangement c

! MgV8O8F8 (PBE+U, optimized geometry); values from VASP
! Symmetry   No. 1
! Magnetization   18.0 μB per formula unit
&SYSTEM
  ibrav = 0, nat = 25, ntyp = 4
/
ATOMIC_SPECIES
F 19.00 F.upf
V 50.94 V.upf
O 16.00 O.upf
Mg 24.30 Mg.upf
CELL_PARAMETERS angstrom
1.051 4.755 -0.713
2.573 -1.711 -10.192
-5.309 0.422 -2.039
ATOMIC_POSITIONS angstrom
F -3.139 3.437 -2.816
F 2.874 2.451 -8.947
F 0.297 0.305 -4.953
V 0.396 0.779 -11.452
O 0.836 2.553 -6.862
O -1.244 -0.346 -11.023
V -1.101 -0.546 -6.174
O 1.265 2.781 -3.954
O -1.766 1.252 -2.827
F -0.425 0.039 -7.992
V -2.798 2.173 -4.424
O -2.352 1.008 -6.110
F -1.263 3.639 -5.122
V -0.189 4.153 -3.372
F -4.424 0.842 -3.972
F -1.776 3.365 -7.837
O -0.545 3.661 -1.654
O 0.085 2.126 -9.831
F 1.479 -0.047 -9.948
V -1.680 3.424 -12.908
V -3.423 1.985 -7.555
V 1.213 1.344 -8.434
V -1.861 -0.847 -9.335
Mg -3.827 -0.172 -5.610
O -3.059 0.775 -9.056

Arrangement d

! MgV8O8F8 (PBE+U, optimized geometry); values from VASP
! Symmetry   No. 1
! Magnetization   18.0 μB per formula unit
&SYSTEM
  ibrav = 0, nat = 25, ntyp = 4
/
ATOMIC_SPECIES
V 50.94 V.upf
O 16.00 O.upf
F 19.00 F.upf
Mg 24.30 Mg.upf
CELL_PARAMETERS angstrom
-4.892 -0.016 -0.019
-0.024 4.817 -9.259
-0.031 -4.814 -3.089
ATOMIC_POSITIONS angstrom
V -0.173 0.148 -9.413
O -3.911 -1.004 -4.592
V -4.814 -0.077 -2.975
O -1.110 0.978 -10.826
V -2.386 2.411 -4.818
O -1.489 -1.477 -6.324
V -0.083 -4.599 -3.278
F -1.033 0.785 -4.617
Mg -0.025 2.380 -7.586
F -3.419 -3.248 -3.143
O -3.706 1.491 -6.229
F -3.433 1.545 -3.214
F -3.851 4.021 -7.787
V -2.525 2.334 -7.615
V -2.349 -2.331 -4.786
V -4.822 -0.289 -6.061
O -1.099 -3.813 -4.776
O -3.706 1.590 -9.130
F -1.457 -1.523 -3.038
O -1.262 3.259 -6.300
F -3.923 -0.906 -7.867
V -2.604 2.402 -10.724
F -1.351 3.200 -9.129
F -1.138 0.785 -7.702
O -3.825 -0.930 -1.526

It turns out arrangement b is the most stable, with the second structure 0.008 eV/atom higher.